The following is a PBE calculation of BaMn2Sb2 after structural relaxation, from the Materials Project.

Cell and atoms, written as CIF:
```
data_BaMn2Sb2
_chemical_formula_sum 'Ba2 Mn4 Sb4'
_space_group_name_H-M_alt 'P 1'
_space_group_IT_number 1
_cell_length_a 4.530
_cell_length_b 4.530
_cell_length_c 12.944
_cell_angle_alpha 90.00
_cell_angle_beta 90.00
_cell_angle_gamma 90.00
loop_
_space_group_symop_operation_xyz
'x,y,z'
loop_
_atom_site_label
_atom_site_type_symbol
_atom_site_fract_x
_atom_site_fract_y
_atom_site_fract_z
Ba1 Ba 0.000 0.000 0.000
Ba2 Ba 0.500 0.500 0.500
Mn1 Mn 0.000 0.500 0.250
Mn2 Mn 0.000 0.500 0.750
Mn3 Mn 0.500 0.000 0.250
Mn4 Mn 0.500 0.000 0.750
Sb1 Sb 0.000 0.000 0.364
Sb2 Sb 0.000 0.000 0.636
Sb3 Sb 0.500 0.500 0.136
Sb4 Sb 0.500 0.500 0.864
```

## Properties
ΔH_f (0 K): -0.39 eV/atom
total magnetization: 7.58 μB per formula unit
SG: I4/mmm (139)

The following is a PBE calculation of Ba2MnTeSe2 after structural relaxation, from the Materials Project.

Cell and atoms, written as CIF:
```
data_Ba2MnTeSe2
_chemical_formula_sum 'Ba8 Mn4 Te4 Se8'
_space_group_name_H-M_alt 'P 1'
_space_group_IT_number 1
_cell_length_a 9.357
_cell_length_b 4.671
_cell_length_c 18.250
_cell_angle_alpha 90.00
_cell_angle_beta 90.00
_cell_angle_gamma 90.00
loop_
_space_group_symop_operation_xyz
'x,y,z'
loop_
_atom_site_label
_atom_site_type_symbol
_atom_site_fract_x
_atom_site_fract_y
_atom_site_fract_z
Ba1 Ba 0.085 0.250 0.213
Ba2 Ba 0.228 0.250 0.957
Ba3 Ba 0.272 0.750 0.457
Ba4 Ba 0.415 0.750 0.713
Ba5 Ba 0.585 0.250 0.287
Ba6 Ba 0.728 0.250 0.543
Ba7 Ba 0.772 0.750 0.043
Ba8 Ba 0.915 0.750 0.787
Mn1 Mn 0.135 0.250 0.636
Mn2 Mn 0.365 0.750 0.136
Mn3 Mn 0.635 0.250 0.864
Mn4 Mn 0.865 0.750 0.364
Te1 Te 0.004 0.250 0.402
Te2 Te 0.496 0.750 0.902
Te3 Te 0.504 0.250 0.098
Te4 Te 0.996 0.750 0.598
Se1 Se 0.125 0.750 0.073
Se2 Se 0.179 0.250 0.772
Se3 Se 0.321 0.750 0.272
Se4 Se 0.375 0.250 0.573
Se5 Se 0.625 0.750 0.427
Se6 Se 0.679 0.250 0.728
Se7 Se 0.821 0.750 0.228
Se8 Se 0.875 0.250 0.927
```

## Properties
ΔH_f (0 K): -1.60 eV/atom
total magnetization: 5.00 μB per formula unit
SG: Pnma (62)

The following is a PBE calculation of Ba3UMnSe6 after structural relaxation, from the Materials Project.

Cell and atoms, written as CIF:
```
data_Ba3UMnSe6
_chemical_formula_sum 'Ba6 U2 Mn2 Se12'
_space_group_name_H-M_alt 'P 1'
_space_group_IT_number 1
_cell_length_a 8.711
_cell_length_b 8.711
_cell_length_c 8.711
_cell_angle_alpha 93.25
_cell_angle_beta 93.25
_cell_angle_gamma 93.25
loop_
_space_group_symop_operation_xyz
'x,y,z'
loop_
_atom_site_label
_atom_site_type_symbol
_atom_site_fract_x
_atom_site_fract_y
_atom_site_fract_z
Ba1 Ba 0.134 0.750 0.366
Ba2 Ba 0.250 0.634 0.866
Ba3 Ba 0.366 0.134 0.750
Ba4 Ba 0.634 0.866 0.250
Ba5 Ba 0.750 0.366 0.134
Ba6 Ba 0.866 0.250 0.634
U1 U 0.250 0.250 0.250
U2 U 0.750 0.750 0.750
Mn1 Mn 0.000 0.000 0.000
Mn2 Mn 0.500 0.500 0.500
Se1 Se 0.036 0.910 0.700
Se2 Se 0.090 0.300 0.964
Se3 Se 0.200 0.410 0.536
Se4 Se 0.300 0.964 0.090
Se5 Se 0.410 0.536 0.200
Se6 Se 0.464 0.800 0.590
Se7 Se 0.536 0.200 0.410
Se8 Se 0.590 0.464 0.800
Se9 Se 0.700 0.036 0.910
Se10 Se 0.800 0.590 0.464
Se11 Se 0.910 0.700 0.036
Se12 Se 0.964 0.090 0.300
```

## Properties
ΔH_f (0 K): -1.62 eV/atom
total magnetization: 0.92 μB per formula unit
SG: R-3c (167)

The following is a PBE calculation of BaMnSi2 after structural relaxation, from the Materials Project.

Cell and atoms, written as CIF:
```
data_BaMnSi2
_chemical_formula_sum 'Ba4 Mn4 Si8'
_space_group_name_H-M_alt 'P 1'
_space_group_IT_number 1
_cell_length_a 6.830
_cell_length_b 4.418
_cell_length_c 13.237
_cell_angle_alpha 90.00
_cell_angle_beta 90.00
_cell_angle_gamma 90.00
loop_
_space_group_symop_operation_xyz
'x,y,z'
loop_
_atom_site_label
_atom_site_type_symbol
_atom_site_fract_x
_atom_site_fract_y
_atom_site_fract_z
Ba1 Ba 0.233 0.250 0.098
Ba2 Ba 0.267 0.750 0.598
Ba3 Ba 0.733 0.250 0.402
Ba4 Ba 0.767 0.750 0.902
Mn1 Mn 0.222 0.750 0.349
Mn2 Mn 0.278 0.250 0.849
Mn3 Mn 0.722 0.750 0.151
Mn4 Mn 0.778 0.250 0.651
Si1 Si 0.028 0.250 0.751
Si2 Si 0.225 0.250 0.371
Si3 Si 0.275 0.750 0.871
Si4 Si 0.472 0.750 0.251
Si5 Si 0.528 0.250 0.749
Si6 Si 0.725 0.250 0.129
Si7 Si 0.775 0.750 0.629
Si8 Si 0.972 0.750 0.249
```

## Properties
ΔH_f (0 K): -0.11 eV/atom
total magnetization: 0.00 μB per formula unit
SG: Pnma (62)

The following is a PBE calculation of BaMn2Sn2 after structural relaxation, from the Materials Project.

Cell and atoms, written as CIF:
```
data_BaMn2Sn2
_chemical_formula_sum 'Ba2 Mn4 Sn4'
_space_group_name_H-M_alt 'P 1'
_space_group_IT_number 1
_cell_length_a 4.724
_cell_length_b 4.724
_cell_length_c 11.989
_cell_angle_alpha 90.00
_cell_angle_beta 90.00
_cell_angle_gamma 90.00
loop_
_space_group_symop_operation_xyz
'x,y,z'
loop_
_atom_site_label
_atom_site_type_symbol
_atom_site_fract_x
_atom_site_fract_y
_atom_site_fract_z
Ba1 Ba 0.000 0.000 0.000
Ba2 Ba 0.500 0.500 0.500
Mn1 Mn 0.000 0.500 0.250
Mn2 Mn 0.000 0.500 0.750
Mn3 Mn 0.500 0.000 0.250
Mn4 Mn 0.500 0.000 0.750
Sn1 Sn 0.000 0.000 0.367
Sn2 Sn 0.000 0.000 0.633
Sn3 Sn 0.500 0.500 0.133
Sn4 Sn 0.500 0.500 0.867
```

## Properties
ΔH_f (0 K): -0.13 eV/atom
total magnetization: 7.78 μB per formula unit
SG: I4/mmm (139)

The following is a PBE calculation of Ba3MoN4 after structural relaxation, from the Materials Project.

Cell and atoms, written as CIF:
```
data_Ba3MoN4
_chemical_formula_sum 'Ba24 Mo8 N32'
_space_group_name_H-M_alt 'P 1'
_space_group_IT_number 1
_cell_length_a 10.520
_cell_length_b 12.390
_cell_length_c 10.965
_cell_angle_alpha 90.00
_cell_angle_beta 90.00
_cell_angle_gamma 90.00
loop_
_space_group_symop_operation_xyz
'x,y,z'
loop_
_atom_site_label
_atom_site_type_symbol
_atom_site_fract_x
_atom_site_fract_y
_atom_site_fract_z
Ba1 Ba 0.032 0.107 0.126
Ba2 Ba 0.032 0.393 0.626
Ba3 Ba 0.121 0.639 0.030
Ba4 Ba 0.121 0.861 0.530
Ba5 Ba 0.206 0.121 0.721
Ba6 Ba 0.206 0.379 0.221
Ba7 Ba 0.294 0.621 0.721
Ba8 Ba 0.294 0.879 0.221
Ba9 Ba 0.379 0.139 0.030
Ba10 Ba 0.379 0.361 0.530
Ba11 Ba 0.468 0.607 0.126
Ba12 Ba 0.468 0.893 0.626
Ba13 Ba 0.532 0.107 0.374
Ba14 Ba 0.532 0.393 0.874
Ba15 Ba 0.621 0.639 0.470
Ba16 Ba 0.621 0.861 0.970
Ba17 Ba 0.706 0.121 0.779
Ba18 Ba 0.706 0.379 0.279
Ba19 Ba 0.794 0.621 0.779
Ba20 Ba 0.794 0.879 0.279
Ba21 Ba 0.879 0.139 0.470
Ba22 Ba 0.879 0.361 0.970
Ba23 Ba 0.968 0.607 0.374
Ba24 Ba 0.968 0.893 0.874
Mo1 Mo 0.201 0.115 0.405
Mo2 Mo 0.201 0.385 0.905
Mo3 Mo 0.299 0.615 0.405
Mo4 Mo 0.299 0.885 0.905
Mo5 Mo 0.701 0.115 0.095
Mo6 Mo 0.701 0.385 0.595
Mo7 Mo 0.799 0.615 0.095
Mo8 Mo 0.799 0.885 0.595
N1 N 0.076 0.018 0.348
N2 N 0.076 0.482 0.848
N3 N 0.123 0.217 0.506
N4 N 0.123 0.283 0.006
N5 N 0.187 0.537 0.507
N6 N 0.187 0.963 0.007
N7 N 0.207 0.679 0.274
N8 N 0.207 0.821 0.774
N9 N 0.293 0.179 0.274
N10 N 0.293 0.321 0.774
N11 N 0.313 0.037 0.507
N12 N 0.313 0.463 0.007
N13 N 0.377 0.717 0.506
N14 N 0.377 0.783 0.006
N15 N 0.424 0.518 0.348
N16 N 0.424 0.982 0.848
N17 N 0.576 0.018 0.152
N18 N 0.576 0.482 0.652
N19 N 0.623 0.217 0.994
N20 N 0.623 0.283 0.494
N21 N 0.687 0.537 0.993
N22 N 0.687 0.963 0.493
N23 N 0.707 0.679 0.226
N24 N 0.707 0.821 0.726
N25 N 0.793 0.179 0.226
N26 N 0.793 0.321 0.726
N27 N 0.813 0.037 0.993
N28 N 0.813 0.463 0.493
N29 N 0.877 0.717 0.994
N30 N 0.877 0.783 0.494
N31 N 0.924 0.518 0.152
N32 N 0.924 0.982 0.652
```

## Properties
ΔH_f (0 K): -1.02 eV/atom
offset from the most stable computed form: 0.0 meV/atom
SG: Pbca (61)

The following is a PBE calculation of Ba3MoN4 after structural relaxation, from the Materials Project.

Cell and atoms, written as CIF:
```
data_Ba3MoN4
_chemical_formula_sum 'Ba54 Mo18 N72'
_space_group_name_H-M_alt 'P 1'
_space_group_IT_number 1
_cell_length_a 18.667
_cell_length_b 18.667
_cell_length_c 10.545
_cell_angle_alpha 90.00
_cell_angle_beta 90.00
_cell_angle_gamma 120.00
loop_
_space_group_symop_operation_xyz
'x,y,z'
loop_
_atom_site_label
_atom_site_type_symbol
_atom_site_fract_x
_atom_site_fract_y
_atom_site_fract_z
Ba1 Ba 0.000 0.000 0.000
Ba2 Ba 0.000 0.000 0.500
Ba3 Ba 0.021 0.674 0.031
Ba4 Ba 0.022 0.331 0.410
Ba5 Ba 0.077 0.848 0.340
Ba6 Ba 0.083 0.221 0.686
Ba7 Ba 0.101 0.573 0.266
Ba8 Ba 0.122 0.521 0.611
Ba9 Ba 0.138 0.917 0.686
Ba10 Ba 0.152 0.229 0.340
Ba11 Ba 0.184 0.436 0.105
Ba12 Ba 0.187 0.736 0.762
Ba13 Ba 0.221 0.083 0.186
Ba14 Ba 0.229 0.152 0.840
Ba15 Ba 0.252 0.816 0.105
Ba16 Ba 0.264 0.451 0.762
Ba17 Ba 0.310 0.978 0.410
Ba18 Ba 0.326 0.347 0.031
Ba19 Ba 0.331 0.022 0.910
Ba20 Ba 0.333 0.667 0.424
Ba21 Ba 0.333 0.667 0.948
Ba22 Ba 0.347 0.326 0.531
Ba23 Ba 0.399 0.878 0.611
Ba24 Ba 0.427 0.528 0.266
Ba25 Ba 0.436 0.184 0.605
Ba26 Ba 0.451 0.264 0.262
Ba27 Ba 0.472 0.899 0.266
Ba28 Ba 0.479 0.601 0.611
Ba29 Ba 0.521 0.122 0.111
Ba30 Ba 0.528 0.427 0.766
Ba31 Ba 0.549 0.813 0.762
Ba32 Ba 0.564 0.748 0.105
Ba33 Ba 0.573 0.101 0.766
Ba34 Ba 0.601 0.479 0.111
Ba35 Ba 0.653 0.979 0.031
Ba36 Ba 0.667 0.333 0.448
Ba37 Ba 0.667 0.333 0.924
Ba38 Ba 0.669 0.690 0.410
Ba39 Ba 0.674 0.021 0.531
Ba40 Ba 0.690 0.669 0.910
Ba41 Ba 0.736 0.187 0.262
Ba42 Ba 0.748 0.564 0.605
Ba43 Ba 0.771 0.923 0.340
Ba44 Ba 0.779 0.862 0.686
Ba45 Ba 0.813 0.549 0.262
Ba46 Ba 0.816 0.252 0.605
Ba47 Ba 0.848 0.077 0.840
Ba48 Ba 0.862 0.779 0.186
Ba49 Ba 0.878 0.399 0.111
Ba50 Ba 0.899 0.472 0.766
Ba51 Ba 0.917 0.138 0.186
Ba52 Ba 0.923 0.771 0.840
Ba53 Ba 0.978 0.310 0.910
Ba54 Ba 0.979 0.653 0.531
Mo1 Mo 0.105 0.227 0.020
Mo2 Mo 0.110 0.552 0.931
Mo3 Mo 0.122 0.895 0.020
Mo4 Mo 0.204 0.765 0.427
Mo5 Mo 0.227 0.105 0.520
Mo6 Mo 0.235 0.440 0.427
Mo7 Mo 0.440 0.235 0.927
Mo8 Mo 0.442 0.890 0.931
Mo9 Mo 0.448 0.558 0.931
Mo10 Mo 0.552 0.110 0.431
Mo11 Mo 0.558 0.448 0.431
Mo12 Mo 0.560 0.796 0.427
Mo13 Mo 0.765 0.204 0.927
Mo14 Mo 0.773 0.878 0.020
Mo15 Mo 0.796 0.560 0.927
Mo16 Mo 0.878 0.773 0.520
Mo17 Mo 0.890 0.442 0.431
Mo18 Mo 0.895 0.122 0.520
N1 N 0.012 0.148 0.929
N2 N 0.017 0.839 0.096
N3 N 0.037 0.460 0.034
N4 N 0.057 0.577 0.802
N5 N 0.071 0.273 0.149
N6 N 0.121 0.731 0.303
N7 N 0.131 0.819 0.910
N8 N 0.136 0.988 0.929
N9 N 0.148 0.012 0.429
N10 N 0.161 0.178 0.096
N11 N 0.163 0.358 0.543
N12 N 0.166 0.647 0.033
N13 N 0.172 0.481 0.351
N14 N 0.178 0.161 0.596
N15 N 0.181 0.312 0.910
N16 N 0.189 0.532 0.851
N17 N 0.195 0.837 0.543
N18 N 0.198 0.673 0.513
N19 N 0.202 0.929 0.149
N20 N 0.269 0.390 0.303
N21 N 0.273 0.071 0.649
N22 N 0.309 0.828 0.351
N23 N 0.312 0.181 0.410
N24 N 0.327 0.526 0.513
N25 N 0.344 0.811 0.851
N26 N 0.353 0.519 0.033
N27 N 0.358 0.163 0.043
N28 N 0.390 0.269 0.803
N29 N 0.423 0.480 0.802
N30 N 0.423 0.963 0.034
N31 N 0.460 0.037 0.534
N32 N 0.468 0.656 0.851
N33 N 0.474 0.802 0.513
N34 N 0.480 0.423 0.302
N35 N 0.481 0.172 0.851
N36 N 0.481 0.834 0.033
N37 N 0.519 0.353 0.533
N38 N 0.519 0.691 0.351
N39 N 0.520 0.943 0.802
N40 N 0.526 0.327 0.013
N41 N 0.532 0.189 0.351
N42 N 0.540 0.577 0.034
N43 N 0.577 0.057 0.302
N44 N 0.577 0.540 0.534
N45 N 0.610 0.879 0.303
N46 N 0.642 0.805 0.543
N47 N 0.647 0.166 0.533
N48 N 0.656 0.468 0.351
N49 N 0.673 0.198 0.013
N50 N 0.688 0.869 0.910
N51 N 0.691 0.519 0.851
N52 N 0.727 0.798 0.149
N53 N 0.731 0.121 0.803
N54 N 0.798 0.727 0.649
N55 N 0.802 0.474 0.013
N56 N 0.805 0.642 0.043
N57 N 0.811 0.344 0.351
N58 N 0.819 0.131 0.410
N59 N 0.822 0.983 0.096
N60 N 0.828 0.309 0.851
N61 N 0.834 0.481 0.533
N62 N 0.837 0.195 0.043
N63 N 0.839 0.017 0.596
N64 N 0.852 0.864 0.929
N65 N 0.864 0.852 0.429
N66 N 0.869 0.688 0.410
N67 N 0.879 0.610 0.803
N68 N 0.929 0.202 0.649
N69 N 0.943 0.520 0.302
N70 N 0.963 0.423 0.534
N71 N 0.983 0.822 0.596
N72 N 0.988 0.136 0.429
```

## Properties
ΔH_f (0 K): -1.01 eV/atom
offset from the most stable computed form: 8.8 meV/atom
total magnetization: 0.00 μB per formula unit
SG: P31c (159)

The following is a PBE calculation of Ba3Mo2N4 after structural relaxation, from the Materials Project.

Cell and atoms, written as CIF:
```
data_Ba3Mo2N4
_chemical_formula_sum 'Ba12 Mo8 N16'
_space_group_name_H-M_alt 'P 1'
_space_group_IT_number 1
_cell_length_a 6.277
_cell_length_b 10.850
_cell_length_c 10.361
_cell_angle_alpha 90.00
_cell_angle_beta 90.00
_cell_angle_gamma 90.00
loop_
_space_group_symop_operation_xyz
'x,y,z'
loop_
_atom_site_label
_atom_site_type_symbol
_atom_site_fract_x
_atom_site_fract_y
_atom_site_fract_z
Ba1 Ba 0.125 0.159 0.081
Ba2 Ba 0.125 0.341 0.419
Ba3 Ba 0.250 0.000 0.402
Ba4 Ba 0.250 0.500 0.098
Ba5 Ba 0.375 0.659 0.419
Ba6 Ba 0.375 0.841 0.081
Ba7 Ba 0.625 0.159 0.919
Ba8 Ba 0.625 0.341 0.581
Ba9 Ba 0.750 0.000 0.598
Ba10 Ba 0.750 0.500 0.902
Ba11 Ba 0.875 0.659 0.581
Ba12 Ba 0.875 0.841 0.919
Mo1 Mo 0.151 0.250 0.750
Mo2 Mo 0.250 0.000 0.737
Mo3 Mo 0.250 0.500 0.763
Mo4 Mo 0.349 0.750 0.750
Mo5 Mo 0.651 0.250 0.250
Mo6 Mo 0.750 0.000 0.263
Mo7 Mo 0.750 0.500 0.237
Mo8 Mo 0.849 0.750 0.250
N1 N 0.027 0.088 0.832
N2 N 0.027 0.412 0.668
N3 N 0.156 0.649 0.864
N4 N 0.156 0.851 0.636
N5 N 0.344 0.149 0.636
N6 N 0.344 0.351 0.864
N7 N 0.473 0.588 0.668
N8 N 0.473 0.912 0.832
N9 N 0.527 0.088 0.168
N10 N 0.527 0.412 0.332
N11 N 0.656 0.649 0.136
N12 N 0.656 0.851 0.364
N13 N 0.844 0.149 0.364
N14 N 0.844 0.351 0.136
N15 N 0.973 0.588 0.332
N16 N 0.973 0.912 0.168
```

## Properties
ΔH_f (0 K): -0.72 eV/atom
offset from the most stable computed form: 0.0 meV/atom
total magnetization: 0.00 μB per formula unit
SG: Pnna (52)